Density functional theory data (PBE with a Hubbard U) for a geometry-optimized Li9Mn2Co5O16 structure.

```
Li9Mn2Co5O16
1.0
5.2007 0.0000 0.0000
0.0000 11.3570 0.0000
-1.9749 0.0000 4.8194
Li Mn Co O
9 2 5 16
Cartesian
0.0000 0.0000 0.0000 Li
-0.9874 1.3973 2.4097 Li
0.0000 2.8015 0.0000 Li
-0.9874 4.2683 2.4097 Li
0.0000 5.6785 0.0000 Li
-0.9874 7.0886 2.4097 Li
0.0000 8.5555 0.0000 Li
-0.9874 9.9597 2.4097 Li
1.6129 0.0000 2.4097 Li
2.6004 4.2256 0.0000 Mn
2.6004 7.1313 0.0000 Mn
2.6004 1.4076 0.0000 Co
1.6129 2.8214 2.4097 Co
1.6129 5.6785 2.4097 Co
1.6129 8.5356 2.4097 Co
2.6004 9.9494 0.0000 Co
-0.1534 2.7859 3.7276 O
-0.1534 8.5711 3.7276 O
-0.1424 5.6785 3.7263 O
-0.1614 0.0000 3.7972 O
0.8720 4.2557 1.3396 O
0.8720 7.1012 1.3396 O
1.0498 1.4866 1.1688 O
1.0498 9.8704 1.1688 O
2.1760 1.4866 3.6507 O
2.1760 9.8704 3.6507 O
2.3539 4.2557 3.4798 O
2.3539 7.1012 3.4798 O
3.3872 0.0000 1.0222 O
3.3682 5.6785 1.0932 O
3.3793 2.7859 1.0918 O
3.3793 8.5711 1.0918 O
```

Results
Excess energy over the best structure of this formula in the dataset, kJ/mol of formula units: 570
Space group: P2/m (10)



Density functional theory data (PBE with a Hubbard U) for a geometry-optimized ZnMo2O5 structure.

```
ZnMo2O5
1.0
3.9556 0.0000 0.0000
0.0000 11.5518 0.0000
0.0000 0.0000 6.7600
Zn Mo O
2 4 10
Cartesian
0.9889 2.8880 0.8838 Zn
2.9667 8.6639 5.8762 Zn
0.9889 6.7901 2.5600 Mo
0.9889 10.5376 2.5600 Mo
2.9667 1.0142 4.2001 Mo
2.9667 4.7617 4.2001 Mo
0.9889 0.7596 3.6349 O
0.9889 5.0163 3.6349 O
0.9889 6.5726 0.8760 O
0.9889 8.6639 3.0591 O
0.9889 10.7551 0.8760 O
2.9667 0.7967 5.8840 O
2.9667 2.8880 3.7009 O
2.9667 4.9792 5.8840 O
2.9667 6.5355 3.1252 O
2.9667 10.7922 3.1252 O
```

Results
Excess energy over the best structure of this formula in the dataset, kJ/mol of formula units: 72
Space group: Pmmn (59)



Density functional theory data (PBE with a Hubbard U) for a geometry-optimized MnFe2P2O18 structure.

```
MnFe2P2O18
1.0
9.6540 0.0000 0.0000
0.0000 7.1571 0.0000
-1.9262 0.0000 9.7341
Mn Fe P O
2 4 4 36
Cartesian
0.0000 0.0000 0.0000 Mn
-0.9631 3.5786 4.8671 Mn
3.2327 0.9054 7.3551 Fe
4.1958 2.6731 2.4880 Fe
3.5321 4.4840 7.2461 Fe
4.4952 6.2517 2.3790 Fe
1.0593 0.9974 9.6985 P
2.0224 2.5811 4.8314 P
5.7055 4.5760 4.9027 P
6.6686 6.1597 0.0356 P
-0.1188 0.2631 2.5140 O
-1.0819 3.3155 7.3810 O
0.1829 3.6293 1.7105 O
-0.7801 7.1064 6.5776 O
0.1465 4.9415 5.0578 O
1.1096 5.7942 0.1907 O
-0.4738 1.2348 9.6939 O
0.4893 2.3437 4.8269 O
1.5056 0.8579 8.2181 O
2.4687 2.7207 3.3510 O
1.7079 4.7182 7.7423 O
2.6710 6.0175 2.8753 O
2.3786 3.9322 5.5470 O
3.3417 6.8035 0.6799 O
2.6787 1.3738 5.5129 O
3.6418 2.2048 0.6459 O
4.0866 4.5194 1.9151 O
3.1235 6.2163 6.7822 O
4.6043 0.9408 2.9519 O
3.6413 2.6377 7.8190 O
4.0861 4.9523 9.0883 O
5.0492 5.7834 4.2212 O
4.3862 0.3536 9.0542 O
5.3493 3.2249 4.1871 O
5.0569 1.1396 6.8589 O
6.0200 2.4389 1.9918 O
5.2592 4.4364 6.3831 O
6.2223 6.2993 1.5161 O
7.2386 4.8134 4.9073 O
8.2017 5.9223 0.0402 O
6.6183 1.3629 9.5434 O
7.5814 2.2157 4.6763 O
8.5080 0.0507 3.1565 O
7.5449 3.5279 8.0236 O
8.8098 3.8417 2.3531 O
7.8467 6.8940 7.2202 O
```

Results
Excess energy over the best structure of this formula in the dataset, kJ/mol of formula units: 509
Space group: P2_1/c (14)



Density functional theory data (PBE with a Hubbard U) for a geometry-optimized Na2Li5Ti3FeP6O24 structure.

```
Na2Li5Ti3FeP6O24
1.0
8.6128 0.0000 0.0000
-4.3025 7.4705 0.0000
-4.2798 -2.4662 7.5037
Na Li Ti Fe P O
2 5 3 1 6 24
Cartesian
0.0000 0.0000 0.0000 Na
-4.0586 2.4290 3.6711 Na
-3.2245 -0.0785 4.9686 Li
-2.5150 4.6249 4.9844 Li
2.6825 0.2748 2.5357 Li
1.6416 2.8633 4.9631 Li
3.2766 4.9967 2.5448 Li
-4.2709 2.4560 7.0848 Ti
-0.0409 0.0584 3.3936 Ti
4.3539 2.4717 0.4568 Ti
0.0319 4.9420 4.0482 Fe
-2.5187 4.9422 1.9072 P
-5.4979 5.2635 5.6379 P
-1.2507 2.1323 5.6830 P
1.3458 2.7474 1.8864 P
5.5434 -0.2887 1.8758 P
2.5674 0.0149 5.6370 P
-4.7855 0.9498 5.6731 O
-7.0030 5.5702 5.4253 O
-5.3119 3.7078 5.6828 O
-1.7126 4.9356 0.6081 O
-4.6068 5.7001 4.4166 O
-3.0207 6.4161 2.1009 O
-1.3971 1.0290 4.5732 O
0.3776 1.5583 2.1079 O
-1.7376 4.4432 3.1427 O
-2.6637 2.8005 5.7191 O
0.9106 3.4410 0.5951 O
-0.7390 -1.5151 6.9199 O
0.8391 6.4019 0.6160 O
-0.8925 1.4589 7.0133 O
2.7868 2.1319 1.8091 O
1.7342 0.5793 4.4301 O
-0.1976 3.2312 5.4172 O
1.4708 3.7483 3.0821 O
3.0422 -1.4486 5.4663 O
4.6335 -0.6415 3.1019 O
1.7517 0.1056 6.9184 O
5.3641 1.2374 1.7228 O
7.0473 -0.6350 2.1185 O
4.8275 4.0228 1.8271 O
```

Results
Final energy, eV/atom: -7.069
Space group: P1 (1)



Density functional theory data (PBE with a Hubbard U) for a geometry-optimized LiCrSi2O6 structure.

```
LiCrSi2O6
1.0
5.2132 0.0000 0.0000
-0.0023 8.7982 0.0000
-0.0088 -0.0277 18.3396
Li Cr Si O
8 8 16 48
Cartesian
0.0000 0.0000 0.0000 Li
5.2036 4.1830 13.6955 Li
1.3224 1.3118 9.1816 Li
2.5960 0.0309 13.7163 Li
3.9273 4.3608 4.5169 Li
3.9396 2.9240 9.1786 Li
3.9419 7.3245 4.5175 Li
5.1674 2.8843 18.3033 Li
-0.0003 7.3601 13.7302 Cr
1.3017 5.6581 4.5155 Cr
1.3961 4.3438 9.1634 Cr
1.4177 0.0346 4.5248 Cr
2.5006 4.3780 18.3332 Cr
2.5964 1.2413 18.3089 Cr
2.6172 5.6568 13.7338 Cr
3.9970 8.6701 9.1710 Cr
0.3204 7.3165 7.2351 Si
0.3377 2.9616 6.4417 Si
0.9437 1.2806 15.6000 Si
0.9530 5.7095 16.4411 Si
1.6920 7.2579 10.9401 Si
1.7040 2.8880 2.7678 Si
2.1663 2.9077 11.9259 Si
2.1971 7.2960 1.7493 Si
2.9004 5.6920 7.2193 Si
2.9712 1.2921 6.4841 Si
3.5141 2.9146 15.5778 Si
3.5867 7.3119 16.4725 Si
4.2998 5.7530 10.9394 Si
4.3109 1.3296 2.7445 Si
4.7714 1.3063 11.9253 Si
4.8063 5.7315 1.7738 Si
0.0700 7.0581 10.4445 O
0.1315 2.5751 3.1636 O
0.3413 8.7554 7.9479 O
0.4145 4.4001 5.7244 O
0.4612 3.0242 8.0628 O
0.5153 7.3288 5.6006 O
0.8908 8.6147 14.9110 O
0.9229 5.7923 14.8026 O
0.9429 4.2511 17.1262 O
0.9542 1.2864 17.2225 O
1.0947 1.7239 12.3848 O
1.2124 6.0018 1.2373 O
1.4239 6.2325 7.8623 O
1.4718 1.8308 5.8779 O
1.6800 7.1897 12.5924 O
1.7058 8.6446 1.0389 O
1.7314 4.2605 12.7028 O
1.8300 2.8934 1.1027 O
2.0730 7.3026 3.4129 O
2.1599 2.9917 10.2920 O
2.2093 4.2353 3.4724 O
2.3255 8.5470 10.2494 O
2.3603 1.9049 14.9937 O
2.4435 6.2245 17.0513 O
2.6870 1.5948 3.2910 O
2.6822 5.9602 10.4467 O
2.9523 5.7328 5.6178 O
2.9672 4.2713 7.9750 O
2.9718 8.6709 5.6955 O
3.0390 1.1937 8.0953 O
3.3811 2.9241 17.2478 O
3.4911 -0.0192 17.0887 O
3.5124 4.3961 14.9381 O
3.5169 7.2175 14.8202 O
3.7080 2.4969 12.3836 O
3.7700 6.9743 1.3623 O
4.0422 6.7783 7.7926 O
4.1104 2.3327 5.9248 O
4.2154 4.4505 0.9940 O
4.2293 1.2932 1.1293 O
4.2912 5.8149 12.5935 O
4.3244 8.7508 12.6943 O
4.7703 1.2207 10.2891 O
4.8845 5.6875 3.3890 O
4.9129 0.0563 3.5262 O
4.9373 4.4664 10.2496 O
4.9600 2.2973 15.0942 O
5.0144 6.7038 17.0229 O
```

Results
Excess energy over the best structure of this formula in the dataset, kJ/mol of formula units: 51
Space group: P1 (1)



Density functional theory data (PBE with a Hubbard U) for a geometry-optimized YCoO3 structure.

```
YCoO3
1.0
5.2772 0.0000 0.0000
-0.0644 5.7070 0.0000
-0.0445 -0.0088 7.5353
Y Co O
4 4 12
Cartesian
0.0533 2.3990 1.8582 Y
2.4393 5.2596 1.8643 Y
2.7291 0.4386 5.6710 Y
5.1151 3.2992 5.6771 Y
0.0000 0.0000 0.0000 Co
-0.0222 -0.0044 3.7677 Co
2.6064 2.8535 0.0000 Co
2.5842 2.8491 3.7677 Co
0.5360 5.4769 5.6744 O
0.9316 3.9397 0.4405 O
0.9942 3.9018 3.3826 O
1.5361 1.0602 3.3699 O
1.6210 1.0766 0.4311 O
2.0115 2.6459 5.6959 O
3.1569 3.0523 1.8394 O
3.5473 4.6216 7.1042 O
3.6323 4.6380 4.1654 O
4.1742 1.7964 4.1527 O
4.2367 1.7585 7.0948 O
4.6323 0.2213 1.8609 O
```

Results
Final energy, eV/atom: -7.538
Space group: P-1 (2)



Density functional theory data (PBE with a Hubbard U) for a geometry-optimized NaInW2O8 structure.

```
NaInW2O8
1.0
10.2460 0.0000 0.0000
0.0000 5.9297 0.0000
-0.1392 0.0000 5.1644
Na In W O
2 2 4 16
Cartesian
-0.0348 1.0669 1.2911 Na
-0.1044 4.8628 3.8733 Na
5.0882 1.0638 1.2911 In
5.0186 4.8659 3.8733 In
2.5273 1.9494 3.8700 W
2.5969 3.9803 1.2878 W
7.5099 1.9494 3.8766 W
7.5795 3.9803 1.2944 W
1.3632 0.7898 3.2132 O
1.4328 5.1399 0.6310 O
1.7051 2.4005 0.3094 O
1.6355 3.5292 2.8916 O
3.6994 2.3344 2.2934 O
3.6298 3.5953 4.8756 O
3.8120 0.7469 4.6246 O
3.8816 5.1828 2.0424 O
6.2252 0.7469 3.1220 O
6.2948 5.1828 0.5398 O
6.4770 2.3344 0.2887 O
6.4073 3.5953 2.8709 O
8.4713 2.4005 2.2728 O
8.4017 3.5292 4.8550 O
8.6740 0.7898 4.5334 O
8.7436 5.1399 1.9512 O
```

Results
Final energy, eV/atom: -6.783
Space group: P2/c (13)



Density functional theory data (PBE with a Hubbard U) for a geometry-optimized Li9Mn2Co5O16 structure.

```
Li9Mn2Co5O16
1.0
5.8825 0.0000 0.0000
2.6822 5.8709 0.0000
2.8427 -0.1371 8.1109
Li Mn Co O
9 2 5 16
Cartesian
0.0000 0.0000 0.0000 Li
4.2797 1.3364 6.1420 Li
5.5711 5.7869 4.0485 Li
5.6664 2.7932 8.1103 Li
4.2072 4.3952 1.9730 Li
7.2001 1.3386 6.1380 Li
5.7409 2.9406 0.0007 Li
5.8362 -0.0530 4.0624 Li
7.1276 4.3974 1.9689 Li
7.0429 4.3323 6.1102 Mn
4.3644 1.4015 2.0008 Mn
2.7624 2.8669 4.0555 Co
1.4064 1.4073 1.9983 Co
2.9412 0.0000 0.0000 Co
5.7037 2.8669 4.0555 Co
10.0009 4.3266 6.1126 Co
4.0778 4.2548 4.1674 O
1.5215 1.3540 0.1392 O
2.8604 2.7356 2.1091 O
5.5965 5.5847 6.0666 O
4.3751 1.4788 3.9800 O
7.1237 4.3182 8.0010 O
5.7602 2.8787 5.9962 O
3.0376 -0.0015 1.9462 O
8.3697 5.7354 6.1647 O
5.6471 2.8552 2.1148 O
4.2836 1.4156 0.1099 O
7.0322 4.2550 4.1309 O
5.8108 0.1492 2.0444 O
8.5469 2.9982 6.0018 O
9.8858 4.3798 7.9718 O
7.3295 1.4790 3.9436 O
```

Results
Excess energy over the best structure of this formula in the dataset, kJ/mol of formula units: 36
Space group: P-1 (2)



Density functional theory data (PBE with a Hubbard U) for a geometry-optimized Sr2LiFeO3F structure.

```
Sr2LiFeO3F
1.0
3.8500 0.0000 0.0000
0.2420 5.1747 0.0000
1.7665 2.1497 6.5914
Sr Li Fe O F
2 1 1 3 1
Cartesian
0.0000 0.0000 0.0000 Sr
2.1193 3.9834 3.1557 Sr
3.7228 4.7650 5.6619 Li
4.0720 1.3314 3.9516 Fe
1.7973 5.5223 4.9904 O
3.6963 2.9267 4.9882 O
3.9986 5.4037 2.4411 O
2.0583 3.5751 0.7151 F
```

Results
Excess energy over the best structure of this formula in the dataset, kJ/mol of formula units: 21
Space group: P1 (1)



Density functional theory data (PBE with a Hubbard U) for a geometry-optimized Li9Co7O16 structure.

```
Li9Co7O16
1.0
5.1163 -2.9102 0.0000
5.1163 2.9102 0.0000
-1.6882 0.0000 9.5500
Li Co O
9 7 16
Cartesian
0.0000 0.0000 0.0000 Li
2.5582 1.4551 0.0000 Li
-0.0133 0.0000 7.1890 Li
4.2723 1.4558 4.7750 Li
3.4284 0.0000 2.3791 Li
2.5582 -1.4551 0.0000 Li
5.1161 0.0000 7.1709 Li
4.2723 -1.4558 4.7750 Li
8.5578 0.0000 2.3610 Li
2.5854 1.4830 7.2241 Co
1.7020 0.0000 4.7738 Co
5.9591 1.4830 2.3259 Co
5.1163 0.0000 0.0000 Co
2.5854 -1.4830 7.2241 Co
6.8425 0.0000 4.7762 Co
5.9591 -1.4830 2.3259 Co
2.4753 1.4593 3.6168 O
0.0766 0.0000 3.5592 O
1.6573 0.0000 1.3213 O
4.4022 1.3265 1.1381 O
4.1423 1.3265 8.4118 O
1.8523 0.0000 8.4195 O
3.3084 0.0000 6.0227 O
6.0692 1.4593 5.9332 O
2.4753 -1.4593 3.6168 O
5.2361 0.0000 3.5273 O
6.6922 0.0000 1.1305 O
4.4022 -1.3265 1.1381 O
4.1423 -1.3265 8.4118 O
6.8872 0.0000 8.2287 O
8.4679 0.0000 5.9908 O
6.0692 -1.4593 5.9332 O
```

Results
Excess energy over the best structure of this formula in the dataset, kJ/mol of formula units: 165
Space group: C2/m (12)



Density functional theory data (PBE with a Hubbard U) for a geometry-optimized Co3O2F4 structure.

```
Co3O2F4
1.0
4.4327 -3.4634 0.0000
4.4327 3.4634 0.0000
-2.3825 0.0000 6.5652
Co O F
6 4 8
Cartesian
0.0000 0.0000 0.0000 Co
-1.1912 0.0000 3.2826 Co
2.1315 0.0000 2.2318 Co
1.0994 0.0000 5.4797 Co
5.3836 0.0000 1.0855 Co
4.3516 0.0000 4.3334 Co
0.8999 0.0000 3.5698 O
3.5463 0.0000 0.8524 O
2.9368 0.0000 5.7128 O
5.5831 0.0000 2.9954 O
0.9731 2.1292 5.4475 F
-0.8541 0.0000 5.2999 F
3.2415 1.3896 3.2826 F
5.5099 2.1292 1.1177 F
0.9731 -2.1292 5.4475 F
3.2415 -1.3896 3.2826 F
7.3371 0.0000 1.2653 F
5.5099 -2.1292 1.1177 F
```

Results
Excess energy over the best structure of this formula in the dataset, kJ/mol of formula units: 67
Space group: C2/m (12)



Computed magnetic moment (μB per formula unit) in order:
2.0; 2.0; 15.0; 7.0; 3.0; 1.5; 0.0; 10.0; 4.0; 2.0; 11.0